No. 1
The following is a DFT calculation (PBE with a Hubbard U) of a relaxed VH4NO3 crystal.

a b c (Å): 4.9594 12.0036 5.8599
angles (deg): 90.00 90.00 90.00
Last column: nearest neighbours and their distance in Å.
Sites, in units of the cell vectors:
V 0.0358 0.1731 0.2500  4 O 1.67-1.83
V 0.0358 0.3269 0.7500  4 O 1.67-1.83
V 0.9642 0.6731 0.2500  4 O 1.67-1.83
V 0.9642 0.8269 0.7500  4 O 1.67-1.83
H 0.2567 0.5439 0.7500  1 N 1.04
H 0.2567 0.9561 0.2500  1 N 1.04
H 0.3965 0.0303 0.7500  1 N 1.05
H 0.3965 0.4697 0.2500  1 N 1.05
H 0.4510 0.6363 0.6074  1 N 1.03
H 0.4510 0.6363 0.8926  1 N 1.03
H 0.4510 0.8637 0.1074  1 N 1.03
H 0.4510 0.8637 0.3926  1 N 1.03
H 0.5490 0.1363 0.6074  1 N 1.03
H 0.5490 0.1363 0.8926  1 N 1.03
H 0.5490 0.3637 0.1074  1 N 1.03
H 0.5490 0.3637 0.3926  1 N 1.03
H 0.6035 0.5303 0.7500  1 N 1.05
H 0.6035 0.9697 0.2500  1 N 1.05
H 0.7433 0.0439 0.7500  1 N 1.04
H 0.7433 0.4561 0.2500  1 N 1.04
N 0.4410 0.5861 0.7500  4 H 1.03-1.05
N 0.4410 0.9139 0.2500  4 H 1.03-1.05
N 0.5590 0.0861 0.7500  4 H 1.03-1.05
N 0.5590 0.4139 0.2500  4 H 1.03-1.05
O 0.0781 0.5407 0.2500  1 V 1.69, 1 H 1.79
O 0.0781 0.9593 0.7500  1 V 1.69, 1 H 1.79
O 0.0812 0.7500 0.0000  2 V 1.83
O 0.0812 0.7500 0.5000  2 V 1.83
O 0.3721 0.1693 0.2500  1 V 1.67
O 0.3721 0.3307 0.7500  1 V 1.67
O 0.6279 0.6693 0.2500  1 V 1.67
O 0.6279 0.8307 0.7500  1 V 1.67
O 0.9188 0.2500 0.0000  2 V 1.83
O 0.9188 0.2500 0.5000  2 V 1.83
O 0.9219 0.0407 0.2500  1 V 1.69, 1 H 1.79
O 0.9219 0.4593 0.7500  1 V 1.69, 1 H 1.79

Properties
Energy of formation from the pure elements   -126.9 kJ/mol of atoms
Uncorrected energy   -5.990 eV per atom



No. 2
The following is a DFT calculation (PBE with a Hubbard U) of a relaxed Na5NiHO4 crystal.

a b c (Å): 9.8585 10.1677 11.8267
angles (deg): 90.00 90.00 90.00
Last column: nearest neighbours and their distance in Å.
Sites, in units of the cell vectors:
Na 0.0158 0.0923 0.2130  4 O 2.28-2.53, 1 H 2.49
Na 0.0158 0.4077 0.2130  4 O 2.28-2.53, 1 H 2.49
Na 0.0716 0.0674 0.5911  4 O 2.34-2.40
Na 0.0716 0.4326 0.5911  4 O 2.34-2.40
Na 0.0801 0.7500 0.5546  5 O 2.40-2.53, 2 H 2.58
Na 0.1149 0.2500 0.0174  5 O 2.39-2.50
Na 0.1355 0.5656 0.0085  4 O 2.34-2.44
Na 0.1355 0.9344 0.0085  4 O 2.34-2.44
Na 0.2194 0.5828 0.3196  3 O 2.31-2.33
Na 0.2194 0.9172 0.3196  3 O 2.31-2.33
Na 0.2806 0.0828 0.8196  3 O 2.31-2.33
Na 0.2806 0.4172 0.8196  3 O 2.31-2.33
Na 0.3645 0.0656 0.5085  4 O 2.34-2.44
Na 0.3645 0.4344 0.5085  4 O 2.34-2.44
Na 0.3851 0.7500 0.5174  5 O 2.39-2.50
Na 0.4199 0.2500 0.0546  5 O 2.40-2.53, 2 H 2.58
Na 0.4284 0.5674 0.0911  4 O 2.34-2.40
Na 0.4284 0.9326 0.0911  4 O 2.34-2.40
Na 0.4842 0.5923 0.7130  4 O 2.28-2.53, 1 H 2.49
Na 0.4842 0.9077 0.7130  4 O 2.28-2.53, 1 H 2.49
Na 0.5158 0.0923 0.2870  4 O 2.28-2.53, 1 H 2.49
Na 0.5158 0.4077 0.2870  4 O 2.28-2.53, 1 H 2.49
Na 0.5716 0.0674 0.9089  4 O 2.34-2.40
Na 0.5716 0.4326 0.9089  4 O 2.34-2.40
Na 0.5801 0.7500 0.9454  5 O 2.40-2.53, 2 H 2.58
Na 0.6149 0.2500 0.4826  5 O 2.39-2.50
Na 0.6355 0.5656 0.4915  4 O 2.34-2.44
Na 0.6355 0.9344 0.4915  4 O 2.34-2.44
Na 0.7194 0.5828 0.1804  3 O 2.31-2.33
Na 0.7194 0.9172 0.1804  3 O 2.31-2.33
Na 0.7806 0.0828 0.6804  3 O 2.31-2.33
Na 0.7806 0.4172 0.6804  3 O 2.31-2.33
Na 0.8645 0.0656 0.9915  4 O 2.34-2.44
Na 0.8645 0.4344 0.9915  4 O 2.34-2.44
Na 0.8851 0.7500 0.9826  5 O 2.39-2.50
Na 0.9199 0.2500 0.4454  5 O 2.40-2.53, 2 H 2.58
Na 0.9284 0.5674 0.4089  4 O 2.34-2.40
Na 0.9284 0.9326 0.4089  4 O 2.34-2.40
Na 0.9842 0.5923 0.7870  4 O 2.28-2.53, 1 H 2.49
Na 0.9842 0.9077 0.7870  4 O 2.28-2.53, 1 H 2.49
Ni 0.0101 0.2500 0.7938  3 O 1.86-1.87
Ni 0.2050 0.2500 0.3815  3 O 1.87
Ni 0.2950 0.7500 0.8815  3 O 1.87
Ni 0.4899 0.7500 0.2938  3 O 1.86-1.87
Ni 0.5101 0.2500 0.7062  3 O 1.86-1.87
Ni 0.7050 0.2500 0.1185  3 O 1.87
Ni 0.7950 0.7500 0.6185  3 O 1.87
Ni 0.9899 0.7500 0.2062  3 O 1.86-1.87
H 0.2350 0.6304 0.6966  1 O 0.98
H 0.2350 0.8696 0.6966  1 O 0.98
H 0.2650 0.1304 0.1966  1 O 0.98
H 0.2650 0.3696 0.1966  1 O 0.98
H 0.7350 0.6304 0.8034  1 O 0.98
H 0.7350 0.8696 0.8034  1 O 0.98
H 0.7650 0.1304 0.3034  1 O 0.98
H 0.7650 0.3696 0.3034  1 O 0.98
O 0.0557 0.0972 0.8718  1 Ni 1.86
O 0.0557 0.4028 0.8718  1 Ni 1.86
O 0.0619 0.7500 0.3523  1 Ni 1.87
O 0.1035 0.0961 0.3969  1 Ni 1.87
O 0.1035 0.4039 0.3969  1 Ni 1.87
O 0.1057 0.7500 0.8817  1 Ni 1.87
O 0.2496 0.0835 0.1258  1 H 0.98
O 0.2496 0.4165 0.1258  1 H 0.98
O 0.2504 0.5835 0.6258  1 H 0.98
O 0.2504 0.9165 0.6258  1 H 0.98
O 0.3943 0.2500 0.3817  1 Ni 1.87
O 0.3965 0.5961 0.8969  1 Ni 1.87
O 0.3965 0.9039 0.8969  1 Ni 1.87
O 0.4381 0.2500 0.8523  1 Ni 1.87
O 0.4443 0.5972 0.3718  1 Ni 1.86
O 0.4443 0.9028 0.3718  1 Ni 1.86
O 0.5557 0.0972 0.6282  1 Ni 1.86
O 0.5557 0.4028 0.6282  1 Ni 1.86
O 0.5619 0.7500 0.1477  1 Ni 1.87
O 0.6035 0.0961 0.1031  1 Ni 1.87
O 0.6035 0.4039 0.1031  1 Ni 1.87
O 0.6057 0.7500 0.6183  1 Ni 1.87
O 0.7496 0.0835 0.3742  1 H 0.98
O 0.7496 0.4165 0.3742  1 H 0.98
O 0.7504 0.5835 0.8742  1 H 0.98
O 0.7504 0.9165 0.8742  1 H 0.98
O 0.8943 0.2500 0.1183  1 Ni 1.87
O 0.8965 0.5961 0.6031  1 Ni 1.87
O 0.8965 0.9039 0.6031  1 Ni 1.87
O 0.9381 0.2500 0.6477  1 Ni 1.87
O 0.9443 0.5972 0.1282  1 Ni 1.86
O 0.9443 0.9028 0.1282  1 Ni 1.86

Properties
Energy of formation from the pure elements   -136.9 kJ/mol of atoms
Uncorrected energy   -4.172 eV per atom



No. 3
The following is a DFT calculation (PBE with a Hubbard U) of a relaxed Na2NiH8S2O12 crystal.

a b c (Å): 7.4584 7.1174 12.9001
angles (deg): 90.00 90.18 90.00
Last column: nearest neighbours and their distance in Å.
Sites, in units of the cell vectors:
Na 0.1281 0.1068 0.1648  3 O 2.25-2.49
Na 0.1281 0.3932 0.6648  3 O 2.25-2.49
Na 0.8719 0.6068 0.3352  3 O 2.25-2.49
Na 0.8719 0.8932 0.8352  3 O 2.25-2.49
Ni 0.0000 0.0000 0.5000  4 O 1.87-2.03
Ni 0.0000 0.5000 0.0000  4 O 1.87-2.03
H 0.2725 0.7034 0.1327  1 O 0.97
H 0.2725 0.7966 0.6327  1 O 0.97
H 0.3011 0.6490 0.5466  1 O 0.97
H 0.3011 0.8510 0.0466  1 O 0.97
H 0.3546 0.1266 0.6349  1 O 0.98
H 0.3546 0.3734 0.1349  1 O 0.98
H 0.4590 0.6832 0.8273  1 O 0.97
H 0.4590 0.8168 0.3273  1 O 0.97
H 0.5410 0.1832 0.6727  1 O 0.97
H 0.5410 0.3168 0.1727  1 O 0.97
H 0.6454 0.6266 0.8651  1 O 0.98
H 0.6454 0.8734 0.3651  1 O 0.98
H 0.6989 0.1490 0.9534  1 O 0.97
H 0.6989 0.3510 0.4534  1 O 0.97
H 0.7275 0.2034 0.3673  1 O 0.97
H 0.7275 0.2966 0.8673  1 O 0.97
S 0.2531 0.2226 0.8773  2 O 1.46-1.48
S 0.2531 0.2774 0.3773  2 O 1.46-1.48
S 0.7469 0.7226 0.6227  2 O 1.46-1.48
S 0.7469 0.7774 0.1227  2 O 1.46-1.48
O 0.0835 0.0513 0.6340  1 O 1.51
O 0.0835 0.4487 0.1340  1 O 1.51
O 0.1098 0.0079 0.3563  1 O 1.51
O 0.1098 0.4921 0.8563  1 O 1.51
O 0.1618 0.1179 0.9612  1 S 1.48
O 0.1618 0.3821 0.4612  1 S 1.48
O 0.2356 0.6718 0.6104  2 H 0.97
O 0.2356 0.8282 0.1104  2 H 0.97
O 0.4055 0.1632 0.4114  1 S 1.46
O 0.4055 0.3368 0.9114  1 S 1.46
O 0.4219 0.2346 0.6607  2 H 0.97-0.98
O 0.4219 0.2654 0.1607  2 H 0.97-0.98
O 0.5781 0.7346 0.8393  2 H 0.97-0.98
O 0.5781 0.7654 0.3393  2 H 0.97-0.98
O 0.5945 0.6632 0.0886  1 S 1.46
O 0.5945 0.8368 0.5886  1 S 1.46
O 0.7644 0.1718 0.8896  2 H 0.97
O 0.7644 0.3282 0.3896  2 H 0.97
O 0.8382 0.6179 0.5388  1 S 1.48
O 0.8382 0.8821 0.0388  1 S 1.48
O 0.8902 0.5079 0.1437  1 O 1.51
O 0.8902 0.9921 0.6437  1 O 1.51
O 0.9165 0.5513 0.8660  1 O 1.51
O 0.9165 0.9487 0.3660  1 O 1.51

Properties
Polymorph energy (0 for the lowest one)   11.169 eV per formula unit
Energy of formation from the pure elements   -116.8 kJ/mol of atoms
Uncorrected energy   -4.908 eV per atom



No. 4
The following is a DFT calculation (PBE with a Hubbard U) of a relaxed Na2NiH8S2O12 crystal.

a b c (Å): 5.5672 8.2592 11.1255
angles (deg): 90.00 99.96 90.00
Last column: nearest neighbours and their distance in Å.
Sites, in units of the cell vectors:
Na 0.1233 0.0711 0.3607  6 O 2.38-2.60
Na 0.1233 0.4289 0.8606  6 O 2.38-2.60
Na 0.8767 0.5711 0.1394  6 O 2.38-2.60
Na 0.8767 0.9289 0.6394  6 O 2.38-2.60
Ni 0.0000 0.0000 0.0000  6 O 2.06-2.12
Ni 0.0000 0.5000 0.5000  6 O 2.06-2.12
H 0.2270 0.6362 0.3472  1 O 1.00
H 0.2270 0.8638 0.8472  1 O 1.00
H 0.2344 0.0557 0.8211  1 O 1.00
H 0.2344 0.4443 0.3211  1 O 1.00
H 0.2358 0.7245 0.0149  1 O 0.99
H 0.2358 0.7755 0.5149  1 O 0.99
H 0.3217 0.6932 0.6400  1 O 0.99
H 0.3217 0.8068 0.1400  1 O 0.99
H 0.6783 0.1932 0.8600  1 O 0.99
H 0.6783 0.3068 0.3600  1 O 0.99
H 0.7642 0.2245 0.4851  1 O 0.99
H 0.7642 0.2755 0.9851  1 O 0.99
H 0.7655 0.5557 0.6789  1 O 1.00
H 0.7655 0.9443 0.1789  1 O 1.00
H 0.7730 0.1362 0.1528  1 O 1.00
H 0.7730 0.3638 0.6528  1 O 1.00
S 0.3763 0.2144 0.6364  4 O 1.47-1.51
S 0.3763 0.2856 0.1364  4 O 1.47-1.51
S 0.6237 0.7144 0.8636  4 O 1.47-1.51
S 0.6237 0.7856 0.3636  4 O 1.47-1.51
O 0.1267 0.5352 0.3385  2 H 1.00
O 0.1267 0.9648 0.8385  2 H 1.00
O 0.1726 0.7128 0.5787  2 H 0.99
O 0.1726 0.7872 0.0787  2 H 0.99
O 0.2131 0.0861 0.5776  1 S 1.47
O 0.2131 0.4139 0.0776  1 S 1.47
O 0.3153 0.1255 0.0766  1 S 1.49
O 0.3153 0.3745 0.5766  1 S 1.49
O 0.3624 0.6785 0.8738  1 S 1.51
O 0.3624 0.8215 0.3738  1 S 1.51
O 0.3627 0.2248 0.7702  1 S 1.51
O 0.3627 0.2752 0.2702  1 S 1.51
O 0.6373 0.7248 0.7298  1 S 1.51
O 0.6373 0.7752 0.2298  1 S 1.51
O 0.6376 0.1785 0.6262  1 S 1.51
O 0.6376 0.3215 0.1262  1 S 1.51
O 0.6847 0.6255 0.4234  1 S 1.49
O 0.6847 0.8745 0.9234  1 S 1.49
O 0.7869 0.5861 0.9224  1 S 1.47
O 0.7869 0.9139 0.4224  1 S 1.47
O 0.8274 0.2128 0.9213  2 H 0.99
O 0.8274 0.2872 0.4213  2 H 0.99
O 0.8733 0.0352 0.1615  2 H 1.00
O 0.8733 0.4648 0.6615  2 H 1.00

Properties
Polymorph energy (0 for the lowest one)   0.000 eV per formula unit
Energy of formation from the pure elements   -159.9 kJ/mol of atoms
Uncorrected energy   -5.355 eV per atom



No. 5
The following is a DFT calculation (PBE with a Hubbard U) of a relaxed Na2NiH4Se2O10 crystal.

a b c (Å): 5.6139 6.0055 7.5077
angles (deg): 110.02 99.31 106.20
Last column: nearest neighbours and their distance in Å.
Sites, in units of the cell vectors:
Na 0.1635 0.2922 0.2489  5 O 2.39-2.64
Na 0.8365 0.7078 0.7511  5 O 2.39-2.64
Ni 0.5000 0.0000 0.5000  6 O 2.04-2.12
H 0.3539 0.8739 0.1210  1 O 0.99
H 0.4180 0.8584 0.7837  1 O 0.99
H 0.5820 0.1416 0.2163  1 O 0.99
H 0.6461 0.1261 0.8790  1 O 0.99
Se 0.1612 0.3331 0.7372  4 O 1.65-1.69
Se 0.8388 0.6669 0.2628  4 O 1.65-1.69
O 0.1194 0.7586 0.4373  1 Se 1.69
O 0.1437 0.1659 0.8727  1 Se 1.65
O 0.2251 0.6424 0.8713  1 Se 1.68, 2 H 1.79-1.82
O 0.3960 0.3210 0.6224  1 Se 1.69
O 0.4269 0.0389 0.2386  2 H 0.99
O 0.5731 0.9611 0.7614  2 H 0.99
O 0.6040 0.6790 0.3776  1 Se 1.69
O 0.7749 0.3576 0.1287  1 Se 1.68, 2 H 1.79-1.82
O 0.8563 0.8341 0.1273  1 Se 1.65
O 0.8806 0.2414 0.5627  1 Se 1.69

Properties
Polymorph energy (0 for the lowest one)   0.000 eV per formula unit
Energy of formation from the pure elements   -139.3 kJ/mol of atoms
Uncorrected energy   -5.078 eV per atom



No. 6
The following is a DFT calculation (PBE with a Hubbard U) of a relaxed Na2NiH4Se2O10 crystal.

a b c (Å): 5.7438 6.8353 8.0289
angles (deg): 81.39 87.40 72.36
Last column: nearest neighbours and their distance in Å.
Sites, in units of the cell vectors:
Na 0.1202 0.1283 0.3246  3 O 2.30-2.40, 1 H 2.43
Na 0.8798 0.8717 0.6754  3 O 2.30-2.40, 1 H 2.43
Ni 0.5000 0.5000 0.0000  2 O 1.67
H 0.2721 0.4288 0.4748  1 O 1.02
H 0.4480 0.0010 0.5304  1 H 0.75
H 0.5520 0.9990 0.4696  1 H 0.75
H 0.7279 0.5712 0.5252  1 O 1.02
Se 0.1192 0.3095 0.7287  3 O 1.70-1.79
Se 0.8808 0.6905 0.2713  3 O 1.70-1.79
O 0.0212 0.0742 0.0255  1 O 1.24
O 0.0489 0.1403 0.6200  1 Se 1.70
O 0.1296 0.4730 0.2901  1 H 1.67, 1 Se 1.71
O 0.3409 0.3904 0.5943  1 H 1.02
O 0.4404 0.2804 0.9803  1 Ni 1.67
O 0.5596 0.7196 0.0197  1 Ni 1.67
O 0.6591 0.6096 0.4057  1 H 1.02
O 0.8704 0.5270 0.7099  1 H 1.67, 1 Se 1.71
O 0.9511 0.8597 0.3800  1 Se 1.70
O 0.9788 0.9258 0.9745  1 O 1.24

Properties
Polymorph energy (0 for the lowest one)   10.714 eV per formula unit
Energy of formation from the pure elements   -84.9 kJ/mol of atoms
Uncorrected energy   -4.514 eV per atom



Q: Among the records above, which one has the highest energy of formation from the pure elements?
A: number 6



Q: Look up the energy of formation from the pure elements of the third one.
A: -116.8 kJ/mol of atoms



Q: Among the records above, which one has the lowest energy of formation from the pure elements?
A: number 4